## PrCo2P2 (r2SCAN)

Data for PrCo2P2 after structural relaxation.

Geometry as CIF:
```
data_PrCo2P2
_chemical_formula_sum 'Pr2 Co4 P4'
_symmetry_space_group_name_H-M 'I 4/m m m'
_symmetry_Int_Tables_number 139
_symmetry_space_group_name_Hall '-I 4 2'
_cell_length_a 3.852
_cell_length_b 3.852
_cell_length_c 10.351
_cell_angle_alpha 90.00
_cell_angle_beta 90.00
_cell_angle_gamma 90.00
loop_
_atom_site_label
_atom_site_fract_x
_atom_site_fract_y
_atom_site_fract_z
Pr1 0.000 0.000 0.000
Co1 0.000 0.500 0.250
P1 0.000 0.000 0.355
```

Results
**Calculated total energy**: -15.755 eV/atom
**Formation energy**: -0.9797 eV/atom

=====

## RbCo2P2 (r2SCAN)

Data for RbCo2P2 after structural relaxation.

Geometry as CIF:
```
data_RbCo2P2
_chemical_formula_sum 'Rb2 Co4 P4'
_symmetry_space_group_name_H-M 'I 4/m m m'
_symmetry_Int_Tables_number 139
_symmetry_space_group_name_Hall '-I 4 2'
_cell_length_a 3.649
_cell_length_b 3.649
_cell_length_c 13.885
_cell_angle_alpha 90.00
_cell_angle_beta 90.00
_cell_angle_gamma 90.00
loop_
_atom_site_label
_atom_site_fract_x
_atom_site_fract_y
_atom_site_fract_z
Rb1 0.000 0.000 0.000
Co1 0.000 0.500 0.250
P1 0.000 0.000 0.336
```

Results
**Calculated total energy**: -12.250 eV/atom
**Formation energy**: -0.5690 eV/atom